{"formula": "LiYb2Al", "functional": "meta-GGA r2SCAN", "state": "optimized geometry", "e_form_ev_per_atom": -0.247, "m_tot_mub_per_fu": 0.00, "total_energy_ev_per_atom": -20.7914, "spacegroup": "Fm-3m", "lattice": [[0.000, 3.565, 3.565], [3.565, 0.000, 3.565], [3.565, 3.565, 0.000]], "species": ["Li", "Yb", "Yb", "Al"], "frac_coords": [[0.000, 0.000, 0.000], [0.250, 0.250, 0.250], [0.750, 0.750, 0.750], [0.500, 0.500, 0.500]]}

---

{"formula": "Lu3Al", "functional": "meta-GGA r2SCAN", "state": "optimized geometry", "e_form_ev_per_atom": -0.234, "m_tot_mub_per_fu": 0.00, "total_energy_ev_per_atom": -30.4764, "spacegroup": "P6_3/mmc", "lattice": [[6.609, 0.000, 0.000], [-3.305, 5.724, 0.000], [0.000, 0.000, 5.234]], "species": ["Lu", "Lu", "Lu", "Lu", "Lu", "Lu", "Al", "Al"], "frac_coords": [[0.172, 0.345, 0.250], [0.172, 0.828, 0.250], [0.345, 0.172, 0.750], [0.655, 0.828, 0.250], [0.828, 0.172, 0.750], [0.828, 0.655, 0.750], [0.333, 0.667, 0.750], [0.667, 0.333, 0.250]]}

---

{"formula": "Lu3Al", "functional": "meta-GGA r2SCAN", "state": "optimized geometry", "e_form_ev_per_atom": -0.222, "m_tot_mub_per_fu": 0.00, "total_energy_ev_per_atom": -30.4651, "spacegroup": "Pm-3m", "lattice": [[4.627, 0.000, 0.000], [0.000, 4.627, 0.000], [0.000, 0.000, 4.627]], "species": ["Lu", "Lu", "Lu", "Al"], "frac_coords": [[0.000, 0.000, 0.500], [0.000, 0.500, 0.000], [0.500, 0.000, 0.000], [0.500, 0.500, 0.500]]}

---

{"formula": "Lu2MgAl", "functional": "meta-GGA r2SCAN", "state": "optimized geometry", "e_form_ev_per_atom": -0.266, "m_tot_mub_per_fu": 0.00, "total_energy_ev_per_atom": -22.0318, "spacegroup": "Fm-3m", "lattice": [[0.000, 3.583, 3.583], [3.583, 0.000, 3.583], [3.583, 3.583, 0.000]], "species": ["Lu", "Lu", "Mg", "Al"], "frac_coords": [[0.250, 0.250, 0.250], [0.750, 0.750, 0.750], [0.000, 0.000, 0.000], [0.500, 0.500, 0.500]]}

---

{"formula": "LuMn4Al8", "functional": "meta-GGA r2SCAN", "state": "optimized geometry", "e_form_ev_per_atom": -0.400, "m_tot_mub_per_fu": 10.62, "total_energy_ev_per_atom": -11.9903, "spacegroup": "I4/mmm", "lattice": [[-4.382, 4.382, 2.597], [4.382, -4.382, 2.597], [4.382, 4.382, -2.597]], "species": ["Lu", "Mn", "Mn", "Mn", "Mn", "Al", "Al", "Al", "Al", "Al", "Al", "Al", "Al"], "frac_coords": [[0.000, 0.000, 0.000], [0.000, 0.000, 0.500], [0.000, 0.500, 0.000], [0.500, 0.000, 0.000], [0.500, 0.500, 0.500], [0.000, 0.340, 0.340], [0.000, 0.660, 0.660], [0.275, 0.500, 0.775], [0.340, 0.000, 0.340], [0.500, 0.275, 0.775], [0.500, 0.725, 0.225], [0.660, 0.000, 0.660], [0.725, 0.500, 0.225]]}

---

{"formula": "Lu3AlN", "functional": "meta-GGA r2SCAN", "state": "optimized geometry", "e_form_ev_per_atom": -1.131, "m_tot_mub_per_fu": 0.00, "total_energy_ev_per_atom": -27.1513, "spacegroup": "Pm-3m", "lattice": [[4.603, 0.000, 0.000], [0.000, 4.603, 0.000], [0.000, 0.000, 4.603]], "species": ["Lu", "Lu", "Lu", "Al", "N"], "frac_coords": [[0.000, 0.000, 0.500], [0.000, 0.500, 0.000], [0.500, 0.000, 0.000], [0.500, 0.500, 0.500], [0.000, 0.000, 0.000]]}

---

{"formula": "LuAl2Ni", "functional": "meta-GGA r2SCAN", "state": "optimized geometry", "e_form_ev_per_atom": -0.697, "m_tot_mub_per_fu": 0.00, "total_energy_ev_per_atom": -16.5789, "spacegroup": "Cmcm", "lattice": [[2.009, -4.905, 0.000], [2.009, 4.905, 0.000], [0.000, 0.000, 6.804]], "species": ["Lu", "Lu", "Al", "Al", "Al", "Al", "Ni", "Ni"], "frac_coords": [[0.063, 0.937, 0.750], [0.937, 0.063, 0.250], [0.346, 0.654, 0.554], [0.346, 0.654, 0.946], [0.654, 0.346, 0.054], [0.654, 0.346, 0.446], [0.214, 0.786, 0.250], [0.786, 0.214, 0.750]]}

---

{"formula": "Lu2AlNi2", "functional": "meta-GGA r2SCAN", "state": "optimized geometry", "e_form_ev_per_atom": -0.609, "m_tot_mub_per_fu": 0.00, "total_energy_ev_per_atom": -21.9805, "spacegroup": "Immm", "lattice": [[-2.052, 2.637, 4.020], [2.052, -2.637, 4.020], [2.052, 2.637, -4.020]], "species": ["Lu", "Lu", "Al", "Ni", "Ni"], "frac_coords": [[0.202, 0.202, 0.000], [0.798, 0.798, 0.000], [0.500, 0.000, 0.500], [0.233, 0.500, 0.733], [0.767, 0.500, 0.267]]}

---

{"formula": "LuAlNi", "functional": "meta-GGA r2SCAN", "state": "optimized geometry", "e_form_ev_per_atom": -0.651, "m_tot_mub_per_fu": 0.00, "total_energy_ev_per_atom": -19.5824, "spacegroup": "P-62m", "lattice": [[6.778, 0.000, 0.000], [-3.389, 5.870, 0.000], [0.000, 0.000, 3.836]], "species": ["Lu", "Lu", "Lu", "Al", "Al", "Al", "Ni", "Ni", "Ni"], "frac_coords": [[0.000, 0.416, 0.000], [0.416, 0.000, 0.000], [0.584, 0.584, 0.000], [0.000, 0.763, 0.500], [0.237, 0.237, 0.500], [0.763, 0.000, 0.500], [0.000, 0.000, 0.000], [0.333, 0.667, 0.500], [0.667, 0.333, 0.500]]}

---

{"formula": "LuAl4Ni", "functional": "meta-GGA r2SCAN", "state": "optimized geometry", "e_form_ev_per_atom": -0.561, "m_tot_mub_per_fu": 0.00, "total_energy_ev_per_atom": -13.3925, "spacegroup": "Cmcm", "lattice": [[2.003, -7.541, 0.000], [2.003, 7.541, 0.000], [0.000, 0.000, 6.567]], "species": ["Lu", "Lu", "Al", "Al", "Al", "Al", "Al", "Al", "Al", "Al", "Ni", "Ni"], "frac_coords": [[0.121, 0.879, 0.750], [0.879, 0.121, 0.250], [0.075, 0.925, 0.250], [0.312, 0.688, 0.553], [0.312, 0.688, 0.947], [0.500, 0.500, 0.000], [0.500, 0.500, 0.500], [0.688, 0.312, 0.053], [0.688, 0.312, 0.447], [0.925, 0.075, 0.750], [0.227, 0.773, 0.250], [0.773, 0.227, 0.750]]}

---

{"formula": "Lu3Sc3Al2O12", "functional": "meta-GGA r2SCAN", "state": "optimized geometry", "e_form_ev_per_atom": -3.601, "m_tot_mub_per_fu": 0.00, "total_energy_ev_per_atom": -15.2793, "spacegroup": "Ia-3d", "lattice": [[-6.161, 6.161, 6.161], [6.161, -6.161, 6.161], [6.161, 6.161, -6.161]], "species": ["Lu", "Lu", "Lu", "Lu", "Lu", "Lu", "Lu", "Lu", "Lu", "Lu", "Lu", "Lu", "Sc", "Sc", "Sc", "Sc", "Sc", "Sc", "Sc", "Sc", "Sc", "Sc", "Sc", "Sc", "Al", "Al", "Al", "Al", "Al", "Al", "Al", "Al", "O", "O", "O", "O", "O", "O", "O", "O", "O", "O", "O", "O", "O", "O", "O", "O", "O", "O", "O", "O", "O", "O", "O", "O", "O", "O", "O", "O", "O", "O", "O", "O", "O", "O", "O", "O", "O", "O", "O", "O", "O", "O", "O", "O", "O", "O", "O", "O"], "frac_coords": [[0.125, 0.250, 0.375], [0.125, 0.375, 0.750], [0.250, 0.375, 0.125], [0.250, 0.875, 0.625], [0.375, 0.125, 0.250], [0.375, 0.750, 0.125], [0.625, 0.250, 0.875], [0.625, 0.875, 0.750], [0.750, 0.125, 0.375], [0.750, 0.625, 0.875], [0.875, 0.625, 0.250], [0.875, 0.750, 0.625], [0.125, 0.750, 0.875], [0.125, 0.875, 0.250], [0.250, 0.125, 0.875], [0.250, 0.625, 0.375], [0.375, 0.250, 0.625], [0.375, 0.625, 0.750], [0.625, 0.375, 0.250], [0.625, 0.750, 0.375], [0.750, 0.375, 0.625], [0.750, 0.875, 0.125], [0.875, 0.125, 0.750], [0.875, 0.250, 0.125], [0.000, 0.000, 0.000], [0.000, 0.000, 0.500], [0.000, 0.500, 0.000], [0.000, 0.500, 0.500], [0.500, 0.000, 0.000], [0.500, 0.000, 0.500], [0.500, 0.500, 0.000], [0.500, 0.500, 0.500], [0.034, 0.202, 0.123], [0.034, 0.333, 0.912], [0.079, 0.702, 0.667], [0.079, 0.877, 0.412], [0.088, 0.623, 0.421], [0.088, 0.966, 0.667], [0.123, 0.034, 0.202], [0.123, 0.588, 0.921], [0.167, 0.202, 0.579], [0.167, 0.466, 0.588], [0.202, 0.123, 0.034], [0.202, 0.579, 0.167], [0.298, 0.333, 0.921], [0.298, 0.466, 0.377], [0.333, 0.912, 0.034], [0.333, 0.921, 0.298], [0.377, 0.298, 0.466], [0.377, 0.579, 0.912], [0.412, 0.079, 0.877], [0.412, 0.833, 0.534], [0.421, 0.088, 0.623], [0.421, 0.833, 0.798], [0.466, 0.377, 0.298], [0.466, 0.588, 0.167], [0.534, 0.412, 0.833], [0.534, 0.623, 0.702], [0.579, 0.167, 0.202], [0.579, 0.912, 0.377], [0.588, 0.167, 0.466], [0.588, 0.921, 0.123], [0.623, 0.421, 0.088], [0.623, 0.702, 0.534], [0.667, 0.079, 0.702], [0.667, 0.088, 0.966], [0.702, 0.534, 0.623], [0.702, 0.667, 0.079], [0.798, 0.421, 0.833], [0.798, 0.877, 0.966], [0.833, 0.534, 0.412], [0.833, 0.798, 0.421], [0.877, 0.412, 0.079], [0.877, 0.966, 0.798], [0.912, 0.034, 0.333], [0.912, 0.377, 0.579], [0.921, 0.123, 0.588], [0.921, 0.298, 0.333], [0.966, 0.667, 0.088], [0.966, 0.798, 0.877]]}

---

{"formula": "Lu3Sc2Al3O12", "functional": "meta-GGA r2SCAN", "state": "optimized geometry", "e_form_ev_per_atom": -3.751, "m_tot_mub_per_fu": 0.00, "total_energy_ev_per_atom": -15.1965, "spacegroup": "Ia-3d", "lattice": [[-6.085, 6.085, 6.085], [6.085, -6.085, 6.085], [6.085, 6.085, -6.085]], "species": ["Lu", "Lu", "Lu", "Lu", "Lu", "Lu", "Lu", "Lu", "Lu", "Lu", "Lu", "Lu", "Sc", "Sc", "Sc", "Sc", "Sc", "Sc", "Sc", "Sc", "Al", "Al", "Al", "Al", "Al", "Al", "Al", "Al", "Al", "Al", "Al", "Al", "O", "O", "O", "O", "O", "O", "O", "O", "O", "O", "O", "O", "O", "O", "O", "O", "O", "O", "O", "O", "O", "O", "O", "O", "O", "O", "O", "O", "O", "O", "O", "O", "O", "O", "O", "O", "O", "O", "O", "O", "O", "O", "O", "O", "O", "O", "O", "O"], "frac_coords": [[0.125, 0.250, 0.375], [0.125, 0.375, 0.750], [0.250, 0.375, 0.125], [0.250, 0.875, 0.625], [0.375, 0.125, 0.250], [0.375, 0.750, 0.125], [0.625, 0.250, 0.875], [0.625, 0.875, 0.750], [0.750, 0.125, 0.375], [0.750, 0.625, 0.875], [0.875, 0.625, 0.250], [0.875, 0.750, 0.625], [0.000, 0.000, 0.000], [0.000, 0.000, 0.500], [0.000, 0.500, 0.000], [0.000, 0.500, 0.500], [0.500, 0.000, 0.000], [0.500, 0.000, 0.500], [0.500, 0.500, 0.000], [0.500, 0.500, 0.500], [0.125, 0.750, 0.875], [0.125, 0.875, 0.250], [0.250, 0.125, 0.875], [0.250, 0.625, 0.375], [0.375, 0.250, 0.625], [0.375, 0.625, 0.750], [0.625, 0.375, 0.250], [0.625, 0.750, 0.375], [0.750, 0.375, 0.625], [0.750, 0.875, 0.125], [0.875, 0.125, 0.750], [0.875, 0.250, 0.125], [0.029, 0.217, 0.128], [0.029, 0.312, 0.901], [0.089, 0.717, 0.688], [0.089, 0.872, 0.401], [0.099, 0.628, 0.411], [0.099, 0.971, 0.688], [0.128, 0.029, 0.217], [0.128, 0.599, 0.911], [0.188, 0.217, 0.589], [0.188, 0.471, 0.599], [0.217, 0.128, 0.029], [0.217, 0.589, 0.188], [0.283, 0.312, 0.911], [0.283, 0.471, 0.372], [0.312, 0.901, 0.029], [0.312, 0.911, 0.283], [0.372, 0.283, 0.471], [0.372, 0.589, 0.901], [0.401, 0.089, 0.872], [0.401, 0.812, 0.529], [0.411, 0.099, 0.628], [0.411, 0.812, 0.783], [0.471, 0.372, 0.283], [0.471, 0.599, 0.188], [0.529, 0.401, 0.812], [0.529, 0.628, 0.717], [0.589, 0.188, 0.217], [0.589, 0.901, 0.372], [0.599, 0.188, 0.471], [0.599, 0.911, 0.128], [0.628, 0.411, 0.099], [0.628, 0.717, 0.529], [0.688, 0.089, 0.717], [0.688, 0.099, 0.971], [0.717, 0.529, 0.628], [0.717, 0.688, 0.089], [0.783, 0.411, 0.812], [0.783, 0.872, 0.971], [0.812, 0.529, 0.401], [0.812, 0.783, 0.411], [0.872, 0.401, 0.089], [0.872, 0.971, 0.783], [0.901, 0.029, 0.312], [0.901, 0.372, 0.589], [0.911, 0.128, 0.599], [0.911, 0.283, 0.312], [0.971, 0.688, 0.099], [0.971, 0.783, 0.872]]}

---

{"formula": "LuAlPd", "functional": "meta-GGA r2SCAN", "state": "optimized geometry", "e_form_ev_per_atom": -0.930, "m_tot_mub_per_fu": 0.00, "total_energy_ev_per_atom": -23.5203, "spacegroup": "P-62m", "lattice": [[7.273, 0.000, 0.000], [-3.636, 6.299, 0.000], [0.000, 0.000, 3.700]], "species": ["Lu", "Lu", "Lu", "Al", "Al", "Al", "Pd", "Pd", "Pd"], "frac_coords": [[0.000, 0.588, 0.000], [0.412, 0.412, 0.000], [0.588, 0.000, 0.000], [0.000, 0.249, 0.500], [0.249, 0.000, 0.500], [0.751, 0.751, 0.500], [0.000, 0.000, 0.000], [0.333, 0.667, 0.500], [0.667, 0.333, 0.500]]}

---

{"formula": "PmLuAl2", "functional": "meta-GGA r2SCAN", "state": "optimized geometry", "e_form_ev_per_atom": -0.406, "m_tot_mub_per_fu": 0.00, "total_energy_ev_per_atom": -20.6773, "spacegroup": "Fm-3m", "lattice": [[0.000, 3.597, 3.597], [3.597, 0.000, 3.597], [3.597, 3.597, 0.000]], "species": ["Pm", "Lu", "Al", "Al"], "frac_coords": [[0.000, 0.000, 0.000], [0.500, 0.500, 0.500], [0.250, 0.250, 0.250], [0.750, 0.750, 0.750]]}